{
  "formula": "DyB2Ru3",
  "functional": "PBE-GGA",
  "state": "optimized geometry",
  "e_form_ev_per_atom": -0.47,
  "dft_energy_ry_per_atom": -0.5957,
  "cell": [[5.509, 0.000, 0.000], [-2.755, 4.771, 0.000], [0.000, 0.000, 3.037]],
  "species": ["Dy", "B", "B", "Ru", "Ru", "Ru"],
  "fractional_positions": [[0.000, 0.000, 0.000], [0.333, 0.667, 0.000], [0.667, 0.333, 0.000], [0.000, 0.500, 0.500], [0.500, 0.000, 0.500], [0.500, 0.500, 0.500]]
}